No. 1
# Th3Mo

A relaxed structure of Th3Mo (PBE-GGA, the Materials Project database).

## Properties
VASP energy, eV for the cell shown: -63.4
Energy of formation, eV per formula unit: 1.4

Lattice parameters (Å, degrees): 6.669 6.669 5.731 90.00 90.00 120.00
Fractional coordinates of all 8 atoms:
Th: 0.824 0.176 0.750
Th: 0.352 0.176 0.750
Th: 0.824 0.648 0.750
Th: 0.176 0.824 0.250
Th: 0.648 0.824 0.250
Th: 0.176 0.352 0.250
Mo: 0.667 0.333 0.250
Mo: 0.333 0.667 0.750

No. 2
# HgOsO3

A relaxed structure of HgOsO3 (PBE-GGA, the Materials Project database).

## Properties
VASP energy, eV for the cell shown: -28.6
Energy of formation, eV per formula unit: -4.3

Lattice parameters (Å, degrees): 3.955 3.955 3.955 90.00 90.00 90.00
Fractional coordinates of all 5 atoms:
Hg: 0.000 0.000 0.000
Os: 0.500 0.500 0.500
O: 0.500 0.500 0.000
O: 0.500 0.000 0.500
O: 0.000 0.500 0.500

No. 3
# K3Ta

A relaxed structure of K3Ta (PBE-GGA, the Materials Project database).

## Properties
VASP energy, eV for the cell shown: -9.6
Energy of formation, eV per formula unit: 5.6

Lattice parameters (Å, degrees): 6.852 6.852 6.852 129.79 129.79 73.75
Fractional coordinates of all 4 atoms:
K: 0.750 0.250 0.500
K: 0.250 0.750 0.500
K: 0.500 0.500 0.000
Ta: 0.000 0.000 0.000

No. 4
# K2AgIrF6

A relaxed structure of K2AgIrF6 (PBE-GGA, the Materials Project database).

## Properties
VASP energy, eV for the cell shown: -44.1
Energy of formation, eV per formula unit: -21.5

Lattice parameters (Å, degrees): 6.243 6.243 6.243 60.00 60.00 60.00
Fractional coordinates of all 10 atoms:
K: 0.750 0.750 0.750
K: 0.250 0.250 0.250
Ag: 0.500 0.500 0.500
Ir: 0.000 0.000 0.000
F: 0.769 0.231 0.231
F: 0.231 0.231 0.769
F: 0.231 0.769 0.769
F: 0.231 0.769 0.231
F: 0.769 0.231 0.769
F: 0.769 0.769 0.231

No. 5
# TbGaRh2

A relaxed structure of TbGaRh2 (PBE-GGA, the Materials Project database).

## Properties
VASP energy, eV for the cell shown: -25.6
Energy of formation, eV per formula unit: -3.2

Lattice parameters (Å, degrees): 4.584 4.584 4.584 60.00 60.00 60.00
Fractional coordinates of all 4 atoms:
Tb: 0.000 0.000 0.000
Ga: 0.500 0.500 0.500
Rh: 0.250 0.250 0.250
Rh: 0.750 0.750 0.750

No. 6
# H2Ru4C13O13

A relaxed structure of H2Ru4C13O13 (PBE-GGA, the Materials Project database).

## Properties
VASP energy, eV for the cell shown: -991.2
Energy of formation, eV per formula unit: -28.5

Lattice parameters (Å, degrees): 9.151 9.248 26.883 98.14 88.18 112.07
Fractional coordinates of all 128 atoms:
H: 0.097 0.582 0.077
H: 0.903 0.418 0.923
H: 0.108 0.803 0.145
H: 0.892 0.197 0.855
H: 0.626 0.297 0.379
H: 0.374 0.703 0.621
H: 0.669 0.057 0.323
H: 0.331 0.943 0.677
Ru: 0.098 0.608 0.144
Ru: 0.902 0.392 0.856
Ru: 0.283 0.680 0.049
Ru: 0.717 0.320 0.951
Ru: 0.432 0.722 0.143
Ru: 0.568 0.278 0.857
Ru: 0.294 0.939 0.126
Ru: 0.706 0.061 0.874
Ru: 0.591 0.098 0.382
Ru: 0.409 0.902 0.618
Ru: 0.866 0.183 0.312
Ru: 0.134 0.817 0.688
Ru: 0.907 0.194 0.416
Ru: 0.093 0.806 0.584
Ru: 0.825 0.431 0.382
Ru: 0.175 0.569 0.618
C: 0.107 0.645 0.216
C: 0.893 0.355 0.784
C: 0.874 0.557 0.138
C: 0.126 0.443 0.862
C: 0.078 0.394 0.143
C: 0.922 0.606 0.857
C: 0.165 0.740 0.005
C: 0.835 0.260 0.995
C: 0.258 0.493 0.004
C: 0.742 0.507 0.996
C: 0.481 0.808 0.026
C: 0.519 0.192 0.974
C: 0.403 0.530 0.095
C: 0.597 0.470 0.905
C: 0.653 0.829 0.132
C: 0.347 0.171 0.868
C: 0.456 0.617 0.197
C: 0.544 0.383 0.803
C: 0.425 0.897 0.195
C: 0.575 0.103 0.805
C: 0.266 0.083 0.181
C: 0.734 0.917 0.819
C: 0.489 0.083 0.106
C: 0.511 0.917 0.894
C: 0.168 0.987 0.080
C: 0.832 0.013 0.920
C: 0.521 0.130 0.448
C: 0.479 0.870 0.552
C: 0.394 0.065 0.349
C: 0.606 0.935 0.651
C: 0.552 0.881 0.381
C: 0.448 0.119 0.619
C: 0.871 0.998 0.271
C: 0.129 0.002 0.729
C: 0.802 0.246 0.255
C: 0.198 0.754 0.745
C: 0.084 0.312 0.308
C: 0.916 0.688 0.692
C: 0.037 0.579 0.381
C: 0.963 0.421 0.619
C: 0.756 0.575 0.426
C: 0.244 0.425 0.574
C: 0.767 0.494 0.323
C: 0.233 0.506 0.677
C: 0.849 0.360 0.460
C: 0.151 0.640 0.540
C: 0.134 0.292 0.422
C: 0.866 0.708 0.578
C: 0.875 0.100 0.476
C: 0.125 0.900 0.524
C: 0.908 0.004 0.374
C: 0.092 0.996 0.626
O: 0.111 0.668 0.260
O: 0.889 0.332 0.740
O: 0.738 0.524 0.138
O: 0.262 0.476 0.862
O: 0.060 0.263 0.142
O: 0.940 0.737 0.858
O: 0.096 0.766 0.974
O: 0.904 0.234 0.026
O: 0.247 0.382 0.976
O: 0.753 0.618 0.024
O: 0.601 0.884 0.011
O: 0.399 0.116 0.989
O: 0.410 0.407 0.081
O: 0.590 0.593 0.919
O: 0.787 0.895 0.126
O: 0.213 0.105 0.874
O: 0.470 0.554 0.230
O: 0.530 0.446 0.770
O: 0.454 0.968 0.236
O: 0.546 0.032 0.764
O: 0.250 0.170 0.214
O: 0.750 0.830 0.786
O: 0.608 0.173 0.094
O: 0.392 0.827 0.906
O: 0.094 0.028 0.056
O: 0.906 0.972 0.944
O: 0.480 0.152 0.489
O: 0.520 0.848 0.511
O: 0.272 0.044 0.331
O: 0.728 0.956 0.669
O: 0.527 0.748 0.378
O: 0.473 0.252 0.622
O: 0.875 0.887 0.246
O: 0.125 0.113 0.754
O: 0.768 0.277 0.218
O: 0.232 0.723 0.782
O: 0.216 0.388 0.306
O: 0.784 0.612 0.694
O: 0.164 0.671 0.381
O: 0.836 0.329 0.619
O: 0.719 0.664 0.453
O: 0.281 0.336 0.547
O: 0.731 0.545 0.291
O: 0.269 0.455 0.709
O: 0.825 0.413 0.500
O: 0.175 0.587 0.500
O: 0.271 0.345 0.425
O: 0.729 0.655 0.575
O: 0.860 0.050 0.514
O: 0.140 0.950 0.486
O: 0.914 0.880 0.363
O: 0.086 0.120 0.637

No. 7
# Te4Mo3WSe2S2

A relaxed structure of Te4Mo3WSe2S2 (PBE-GGA, the Materials Project database).

## Properties
VASP energy, eV for the cell shown: -78.6
Energy of formation, eV per formula unit: -6.2
Offset from the most stable computed form, kJ/mol of atoms: 1.5

Lattice parameters (Å, degrees): 3.398 3.398 39.291 90.00 90.00 120.00
Fractional coordinates of all 12 atoms:
Te: 0.333 0.667 0.330
Te: 0.667 0.333 0.046
Te: 0.667 0.333 0.141
Te: 0.333 0.667 0.235
Mo: 0.333 0.667 0.093
Mo: 0.333 0.667 0.470
Mo: 0.667 0.333 0.282
W: 0.667 0.333 0.658
Se: 0.333 0.667 0.700
Se: 0.333 0.667 0.615
S: 0.667 0.333 0.431
S: 0.667 0.333 0.508

No. 8
# CoAgN

A relaxed structure of CoAgN (PBE-GGA, the Materials Project database).

## Properties
VASP energy, eV for the cell shown: -16.3
Energy of formation, eV per formula unit: 1.6
Offset from the most stable computed form, kJ/mol of atoms: 26.6

Lattice parameters (Å, degrees): 3.986 3.986 3.424 90.00 90.00 120.00
Fractional coordinates of all 3 atoms:
Co: 0.667 0.333 0.000
Ag: 0.000 0.000 0.500
N: 0.667 0.333 0.500

No. 9
# UP2S6

A relaxed structure of UP2S6 (PBE-GGA, the Materials Project database).

## Properties
VASP energy, eV for the cell shown: -105.2
Energy of formation, eV per formula unit: -8.7

Lattice parameters (Å, degrees): 7.062 7.062 9.721 90.00 90.00 90.00
Fractional coordinates of all 18 atoms:
U: 0.000 0.000 0.750
U: 0.000 0.000 0.250
P: 0.058 0.346 0.500
P: 0.942 0.654 0.500
P: 0.346 0.942 0.000
P: 0.654 0.058 0.000
S: 0.208 0.315 0.676
S: 0.685 0.208 0.176
S: 0.172 0.174 0.000
S: 0.826 0.172 0.500
S: 0.174 0.828 0.500
S: 0.828 0.826 0.000
S: 0.208 0.315 0.324
S: 0.685 0.208 0.824
S: 0.315 0.792 0.824
S: 0.792 0.685 0.324
S: 0.792 0.685 0.676
S: 0.315 0.792 0.176

No. 10
# CeSe2

A relaxed structure of CeSe2 (PBE-GGA, the Materials Project database).

## Properties
VASP energy, eV for the cell shown: -142.4
Energy of formation, eV per formula unit: -5.8

Lattice parameters (Å, degrees): 6.884 5.641 16.472 90.00 90.00 90.00
Fractional coordinates of all 24 atoms:
Ce: 0.001 0.500 0.460
Ce: 0.999 0.500 0.960
Ce: 0.491 0.500 0.200
Ce: 0.509 0.500 0.700
Ce: 0.004 0.000 0.765
Ce: 0.996 0.000 0.265
Ce: 0.472 0.000 0.007
Ce: 0.528 0.000 0.507
Se: 0.618 0.000 0.173
Se: 0.382 0.000 0.673
Se: 0.139 0.000 0.435
Se: 0.861 0.000 0.935
Se: 0.605 0.500 0.029
Se: 0.395 0.500 0.529
Se: 0.133 0.500 0.294
Se: 0.867 0.500 0.794
Se: 0.679 0.746 0.361
Se: 0.679 0.254 0.361
Se: 0.321 0.254 0.861
Se: 0.321 0.746 0.861
Se: 0.156 0.753 0.106
Se: 0.156 0.247 0.106
Se: 0.844 0.247 0.606
Se: 0.844 0.753 0.606

No. 11
# CuP3NO9

A relaxed structure of CuP3NO9 (PBE-GGA, the Materials Project database).

## Properties
VASP energy, eV for the cell shown: -362.6
Energy of formation, eV per formula unit: -23.6
Offset from the most stable computed form, kJ/mol of atoms: 0.0

Lattice parameters (Å, degrees): 11.889 5.035 12.972 88.04 90.00 90.00
Fractional coordinates of all 56 atoms:
Cu: 0.000 0.000 0.500
Cu: 0.500 0.000 0.000
Cu: 0.500 0.000 0.500
Cu: 0.000 0.000 0.000
P: 0.752 0.241 0.494
P: 0.252 0.759 0.006
P: 0.248 0.759 0.506
P: 0.748 0.241 0.994
P: 0.911 0.492 0.632
P: 0.411 0.508 0.868
P: 0.089 0.508 0.368
P: 0.589 0.492 0.132
P: 0.922 0.519 0.868
P: 0.422 0.481 0.632
P: 0.078 0.481 0.132
P: 0.578 0.519 0.368
N: 0.718 0.945 0.745
N: 0.218 0.055 0.755
N: 0.282 0.055 0.255
N: 0.782 0.945 0.245
O: 0.891 0.439 0.753
O: 0.391 0.561 0.747
O: 0.109 0.561 0.247
O: 0.609 0.439 0.253
O: 0.789 0.400 0.593
O: 0.289 0.600 0.907
O: 0.211 0.600 0.407
O: 0.711 0.400 0.093
O: 0.800 0.475 0.921
O: 0.300 0.525 0.579
O: 0.200 0.525 0.079
O: 0.700 0.475 0.421
O: 0.662 0.045 0.527
O: 0.162 0.955 0.973
O: 0.338 0.955 0.473
O: 0.838 0.045 0.027
O: 0.646 0.131 0.941
O: 0.146 0.869 0.559
O: 0.354 0.869 0.059
O: 0.854 0.131 0.441
O: 0.924 0.789 0.613
O: 0.424 0.211 0.887
O: 0.076 0.211 0.387
O: 0.576 0.789 0.113
O: 0.953 0.809 0.868
O: 0.453 0.191 0.632
O: 0.047 0.191 0.132
O: 0.547 0.809 0.368
O: 0.003 0.313 0.594
O: 0.503 0.687 0.906
O: 0.997 0.687 0.406
O: 0.497 0.313 0.094
O: 0.008 0.330 0.912
O: 0.508 0.670 0.588
O: 0.992 0.670 0.088
O: 0.492 0.330 0.412

No. 12
# Ho2TiO5

A relaxed structure of Ho2TiO5 (PBE-GGA, the Materials Project database).

## Properties
VASP energy, eV for the cell shown: -276.7
Energy of formation, eV per formula unit: -30.8
Offset from the most stable computed form, kJ/mol of atoms: 4.3

Lattice parameters (Å, degrees): 3.623 7.451 15.467 90.00 90.00 90.00
Fractional coordinates of all 32 atoms:
Ho: 0.250 0.100 0.084
Ho: 0.250 0.161 0.737
Ho: 0.750 0.339 0.237
Ho: 0.750 0.400 0.584
Ho: 0.250 0.600 0.416
Ho: 0.250 0.661 0.763
Ho: 0.750 0.839 0.263
Ho: 0.750 0.900 0.916
Ti: 0.250 0.113 0.424
Ti: 0.750 0.387 0.924
Ti: 0.250 0.613 0.076
Ti: 0.750 0.887 0.576
O: 0.750 0.070 0.174
O: 0.750 0.073 0.453
O: 0.750 0.121 0.648
O: 0.750 0.158 0.995
O: 0.250 0.247 0.323
O: 0.750 0.253 0.823
O: 0.250 0.342 0.495
O: 0.250 0.379 0.148
O: 0.250 0.427 0.953
O: 0.250 0.430 0.674
O: 0.750 0.570 0.326
O: 0.750 0.573 0.047
O: 0.750 0.621 0.852
O: 0.750 0.658 0.505
O: 0.250 0.747 0.177
O: 0.750 0.753 0.677
O: 0.250 0.842 0.005
O: 0.250 0.879 0.352
O: 0.250 0.927 0.547
O: 0.250 0.930 0.826